Record 1
A geometry-optimized Nd9Al5S21 structure. Source: the Materials Project, functional r2SCAN.

a b c (Å): 17.2325 17.2325 18.4104
angles (deg): 90.00 90.00 120.00
Closest atoms and distances in Å follow each position.
Space group R3 (No. 146, hexagonal axes)
Unique sites:
Nd1 0.0211 0.8260 0.0000 [9 per cell]  7 S 2.86-3.04
Nd2 0.0272 0.8227 0.3215 [9 per cell]  7 S 2.82-3.07
Nd3 0.0313 0.8279 0.6602 [9 per cell]  7 S 2.84-3.02
Nd4 0.1558 0.4631 0.4864 [9 per cell]  7 S 2.83-3.04
Nd5 0.1584 0.4651 0.8305 [9 per cell]  7 S 2.81-3.11
Nd6 0.1622 0.4679 0.1649 [9 per cell]  7 S 2.85-3.01
Al1 0.0000 0.0000 0.2182 [3 per cell]  6 S 2.41-2.48
Al2 0.0000 0.0000 0.4003 [3 per cell]  3 S 2.32
Al3 0.0000 0.0000 0.7164 [3 per cell]  6 S 2.42-2.48
Al4 0.0000 0.0000 0.8986 [3 per cell]  3 S 2.32
Al5 0.0026 0.3401 0.6867 [9 per cell]  4 S 2.22-2.26
Al6 0.0053 0.6691 0.5200 [9 per cell]  4 S 2.22-2.26
S1 0.9998 0.3331 0.2330 [9 per cell]  1 Al 2.22
S2 0.0001 0.6688 0.7329 [9 per cell]  1 Al 2.22
S3 0.0101 0.4578 0.4004 [9 per cell]  1 Al 2.26
S4 0.0143 0.8902 0.4620 [9 per cell]  1 Al 2.32
S5 0.0139 0.8962 0.8013 [9 per cell]  2 Al 2.48-2.62
S6 0.0164 0.8885 0.1515 [9 per cell]  1 Al 2.41
S7 0.0198 0.4650 0.7386 [9 per cell]  1 Al 2.24
S8 0.0253 0.4597 0.0676 [9 per cell]  1 Al 2.24
S9 0.1178 0.0148 0.3036 [9 per cell]  2 Al 2.48-2.62
S10 0.1225 0.0109 0.9607 [9 per cell]  1 Al 2.32
S11 0.1229 0.7799 0.9042 [9 per cell]  1 Al 2.25
S12 0.1271 0.7688 0.2349 [9 per cell]  1 Al 2.26
S13 0.1292 0.0185 0.6497 [9 per cell]  1 Al 2.42
S14 0.1320 0.7792 0.5676 [9 per cell]  1 Al 2.23

For the formation energy, the calculation gives -2.006 eV/atom. Its total moment is 0.000 μB/atom. The value obtained for the raw total energy is -15.35 eV/atom.

Record 2
A geometry-optimized Mn4Nb2O9 structure. Source: the Materials Project, functional r2SCAN.

a b c (Å): 5.2974 5.2974 14.3562
angles (deg): 90.00 90.00 120.00
Closest atoms and distances in Å follow each position.
Space group P-3c1 (No. 165)
Unique sites:
Mn1 0.3333 0.6667 0.1971 [4 per cell]  3 O 2.06
Mn2 0.3333 0.6667 0.4835 [4 per cell]  6 O 2.12-2.22
Nb1 0.0000 0.0000 0.1418 [4 per cell]  6 O 1.93-2.16
O1 0.0000 0.2827 0.2500 [6 per cell]  2 Mn 2.06, 2 Nb 2.16
O2 0.0254 0.3414 0.5849 [12 per cell]  1 Nb 1.93, 1 Mn 2.12

For the formation energy, the calculation gives -2.420 eV/atom. Its total moment is 0.000 μB/atom. The value obtained for the raw total energy is -13.22 eV/atom.

Record 3
A geometry-optimized Mg2CdAg structure. Source: the Materials Project, functional r2SCAN.

a b c (Å): 6.7587 6.7587 6.7587
angles (deg): 90.00 90.00 90.00
Closest atoms and distances in Å follow each position.
Space group Fm-3m (No. 225)
Unique sites:
Mg1 0.2500 0.2500 0.2500 [8 per cell]  4 Cd 2.93, 4 Ag 2.93
Cd1 0.0000 0.0000 0.0000 [4 per cell]  8 Mg 2.93
Ag1 0.0000 0.0000 0.5000 [4 per cell]  8 Mg 2.93

For the formation energy, the calculation gives -0.147 eV/atom. Its total moment is 0.000 μB/atom. The value obtained for the raw total energy is -12.60 eV/atom.

Record 4
A geometry-optimized CeIn2Pt2 structure. Source: the Materials Project, functional r2SCAN.

a b c (Å): 10.2795 4.4986 10.3123
angles (deg): 90.00 117.34 90.00
Closest atoms and distances in Å follow each position.
Space group P2_1/m (No. 11)
Unique sites:
Ce1 0.0461 0.2500 0.2923 [2 per cell]  7 Pt 2.99-3.21
Ce2 0.4021 0.2500 0.2093 [2 per cell]  3 Pt 2.87-3.21
In1 0.1175 0.7500 0.0744 [2 per cell]  4 Pt 2.71-2.89
In2 0.2279 0.7500 0.6012 [2 per cell]  6 Pt 2.77-2.94
In3 0.3531 0.7500 0.9446 [2 per cell]  5 Pt 2.80-2.94
In4 0.4061 0.2500 0.5387 [2 per cell]  4 Pt 2.77-2.80
Pt1 0.0720 0.2500 0.6023 [2 per cell]  3 In 2.77-2.82, 4 Pt 2.85-2.99, 3 Ce 2.99-3.08
Pt2 0.1590 0.2500 0.9220 [2 per cell]  5 In 2.86-2.94, 3 Ce 2.87-3.18, 2 Pt 2.99-3.07
Pt3 0.2933 0.7500 0.3670 [2 per cell]  5 In 2.71-2.79
Pt4 0.3776 0.2500 0.7963 [2 per cell]  6 In 2.80-2.94, 2 Pt 2.85-3.07

For the formation energy, the calculation gives -0.916 eV/atom. Its total moment is 0.003 μB/atom. The value obtained for the raw total energy is -36.71 eV/atom.